(1)
MgBi2O4: optimized geometry, PBE.

a b c (Å): 6.756 6.756 22.278
angles (deg): 82.66 82.66 61.72
Fractional coordinates of all 56 atoms:
Mg (0.846, 0.846, 0.969)
Mg (0.378, 0.378, 0.874)
Mg (0.595, 0.595, 0.718)
Mg (0.125, 0.125, 0.618)
Mg (0.875, 0.875, 0.375)
Mg (0.999, 0.999, 0.496)
Mg (0.621, 0.621, 0.133)
Mg (0.751, 0.751, 0.254)
Bi (0.375, 0.872, 0.874)
Bi (0.246, 0.246, 0.743)
Bi (0.872, 0.375, 0.874)
Bi (0.348, 0.348, 0.469)
Bi (0.128, 0.637, 0.622)
Bi (0.893, 0.893, 0.778)
Bi (0.096, 0.096, 0.217)
Bi (0.637, 0.128, 0.622)
Bi (0.874, 0.376, 0.375)
Bi (0.654, 0.654, 0.535)
Bi (0.376, 0.874, 0.375)
Bi (0.109, 0.621, 0.127)
Bi (0.621, 0.109, 0.127)
Bi (0.400, 0.400, 0.284)
Bi (0.501, 0.501, 0.003)
Bi (0.136, 0.136, 0.028)
O (0.683, 0.195, 0.938)
O (0.556, 0.556, 0.814)
O (0.195, 0.683, 0.938)
O (0.684, 0.684, 0.940)
O (0.061, 0.061, 0.811)
O (0.433, 0.934, 0.684)
O (0.533, 0.099, 0.818)
O (0.293, 0.293, 0.570)
O (0.934, 0.433, 0.684)
O (0.212, 0.212, 0.926)
O (0.443, 0.443, 0.684)
O (0.099, 0.533, 0.818)
O (0.150, 0.728, 0.434)
O (0.837, 0.837, 0.554)
O (0.265, 0.849, 0.558)
O (0.051, 0.051, 0.316)
O (0.728, 0.150, 0.434)
O (0.965, 0.965, 0.675)
O (0.173, 0.173, 0.441)
O (0.849, 0.265, 0.558)
O (0.579, 0.579, 0.309)
O (0.899, 0.488, 0.191)
O (0.017, 0.600, 0.316)
O (0.816, 0.816, 0.064)
O (0.488, 0.899, 0.191)
O (0.698, 0.698, 0.434)
O (0.915, 0.915, 0.193)
O (0.600, 0.017, 0.316)
O (0.296, 0.296, 0.066)
O (0.789, 0.354, 0.075)
O (0.448, 0.448, 0.184)
O (0.354, 0.789, 0.075)

Computed properties:
As for the polymorph energy (0 for the lowest one): 0.0935 eV per atom. The calculation puts the volume at 886 Å³ per cell. The formation energy is -1.905 eV per atom. The space group is No. 8. The total energy comes out at -318.1 eV/cell.


(2)
PrSi2Pd2: optimized geometry, PBE.

a b c (Å): 5.838 5.838 5.838
angles (deg): 137.20 137.20 62.14
Fractional coordinates of all 5 atoms:
Pr (0.000, 0.000, 0.000)
Si (0.620, 0.620, 0.000)
Si (0.380, 0.380, 0.000)
Pd (0.250, 0.750, 0.500)
Pd (0.750, 0.250, 0.500)

Computed properties:
The calculation puts the volume at 91 Å³ per cell. The formation energy is -0.936 eV per atom. The space group is No. 139. The total energy comes out at -30.7 eV/cell.


(3)
TaInO3: optimized geometry, PBE.

a b c (Å): 4.067 4.067 4.067
angles (deg): 90.00 90.00 90.00
Fractional coordinates of all 5 atoms:
Ta (0.500, 0.500, 0.500)
In (0.000, 0.000, 0.000)
O (0.500, 0.500, 0.000)
O (0.500, 0.000, 0.500)
O (0.000, 0.500, 0.500)

Computed properties:
The calculation puts the volume at 67 Å³ per cell. The formation energy is -2.510 eV per atom. The space group is No. 221. The total energy comes out at -39.9 eV/cell.


(4)
Ba3Tb: optimized geometry, PBE.

a b c (Å): 8.411 8.411 6.769
angles (deg): 90.00 90.00 120.00
Fractional coordinates of all 8 atoms:
Ba (0.172, 0.344, 0.250)
Ba (0.656, 0.828, 0.250)
Ba (0.172, 0.828, 0.250)
Ba (0.828, 0.656, 0.750)
Ba (0.344, 0.172, 0.750)
Ba (0.828, 0.172, 0.750)
Tb (0.333, 0.667, 0.750)
Tb (0.667, 0.333, 0.250)

Computed properties:
As for the polymorph energy (0 for the lowest one): 0.0000 eV per atom. The calculation puts the volume at 415 Å³ per cell. The formation energy is 0.222 eV per atom. The space group is No. 194. The total energy comes out at -19.0 eV/cell.


(5)
SiNiSb: optimized geometry, PBE.

a b c (Å): 4.053 4.053 6.818
angles (deg): 90.00 90.00 90.00
Fractional coordinates of all 6 atoms:
Si (0.000, 0.500, 0.806)
Si (0.500, 0.000, 0.194)
Ni (0.000, 0.000, 0.000)
Ni (0.500, 0.500, 0.000)
Sb (0.000, 0.500, 0.275)
Sb (0.500, 0.000, 0.725)

Computed properties:
The calculation puts the volume at 112 Å³ per cell. The formation energy is -0.035 eV per atom. The space group is No. 129. The total energy comes out at -30.5 eV/cell.


(6)
Na3UF8: optimized geometry, PBE.

a b c (Å): 6.725 6.725 6.725
angles (deg): 131.72 131.72 70.67
Fractional coordinates of all 12 atoms:
Na (0.500, 0.500, 0.000)
Na (0.250, 0.750, 0.500)
Na (0.750, 0.250, 0.500)
U (0.000, 0.000, 0.000)
F (0.884, 0.884, 0.535)
F (0.884, 0.349, 0.000)
F (0.349, 0.884, 0.000)
F (0.349, 0.349, 0.465)
F (0.651, 0.651, 0.535)
F (0.651, 0.116, 0.000)
F (0.116, 0.651, 0.000)
F (0.116, 0.116, 0.465)

Computed properties:
The calculation puts the volume at 166 Å³ per cell. The formation energy is -3.478 eV per atom. The space group is No. 139. The total energy comes out at -68.6 eV/cell.


(7)
La3Zn22: optimized geometry, PBE.

a b c (Å): 12.454 12.454 12.454
angles (deg): 137.66 137.66 61.42
Fractional coordinates of all 50 atoms:
La (0.620, 0.620, 0.000)
La (0.370, 0.870, 0.500)
La (0.130, 0.630, 0.500)
La (0.380, 0.380, 0.000)
La (0.750, 0.250, 0.500)
La (0.000, 0.000, 0.000)
Zn (0.070, 0.546, 0.989)
Zn (0.557, 0.546, 0.476)
Zn (0.296, 0.320, 0.489)
Zn (0.831, 0.320, 0.024)
Zn (0.070, 0.081, 0.524)
Zn (0.557, 0.081, 0.011)
Zn (0.296, 0.807, 0.976)
Zn (0.831, 0.807, 0.511)
Zn (0.680, 0.704, 0.511)
Zn (0.193, 0.704, 0.024)
Zn (0.454, 0.930, 0.011)
Zn (0.919, 0.930, 0.476)
Zn (0.680, 0.169, 0.976)
Zn (0.193, 0.169, 0.489)
Zn (0.454, 0.443, 0.524)
Zn (0.919, 0.443, 0.989)
Zn (0.498, 0.272, 0.774)
Zn (0.022, 0.748, 0.274)
Zn (0.474, 0.748, 0.726)
Zn (0.498, 0.724, 0.226)
Zn (0.252, 0.978, 0.726)
Zn (0.728, 0.502, 0.226)
Zn (0.276, 0.502, 0.774)
Zn (0.252, 0.526, 0.274)
Zn (0.758, 0.611, 0.853)
Zn (0.361, 0.008, 0.353)
Zn (0.655, 0.008, 0.647)
Zn (0.758, 0.905, 0.147)
Zn (0.992, 0.639, 0.647)
Zn (0.389, 0.242, 0.147)
Zn (0.095, 0.242, 0.853)
Zn (0.992, 0.345, 0.353)
Zn (0.612, 0.961, 0.350)
Zn (0.711, 0.862, 0.850)
Zn (0.012, 0.862, 0.150)
Zn (0.612, 0.262, 0.650)
Zn (0.138, 0.289, 0.150)
Zn (0.039, 0.388, 0.650)
Zn (0.738, 0.388, 0.350)
Zn (0.138, 0.988, 0.850)
Zn (0.875, 0.625, 0.750)
Zn (0.375, 0.125, 0.250)
Zn (0.875, 0.125, 0.750)
Zn (0.875, 0.125, 0.250)

Computed properties:
The calculation puts the volume at 866 Å³ per cell. The formation energy is -0.291 eV per atom. The space group is No. 141. The total energy comes out at -99.6 eV/cell.


(8)
LiPmAu2: optimized geometry, PBE.

a b c (Å): 4.967 4.967 4.967
angles (deg): 60.00 60.00 60.00
Fractional coordinates of all 4 atoms:
Li (0.500, 0.500, 0.500)
Pm (0.000, 0.000, 0.000)
Au (0.750, 0.750, 0.750)
Au (0.250, 0.250, 0.250)

Computed properties:
The calculation puts the volume at 87 Å³ per cell. The formation energy is -0.676 eV per atom. The space group is No. 225. The total energy comes out at -15.9 eV/cell.


(9)
FeMo3As4: optimized geometry, PBE.

a b c (Å): 3.361 5.998 6.391
angles (deg): 89.81 90.00 90.00
Fractional coordinates of all 8 atoms:
Fe (0.500, 0.512, 0.316)
Mo (0.500, 0.010, 0.184)
Mo (0.000, 0.487, 0.693)
Mo (0.000, 0.994, 0.812)
As (0.500, 0.692, 0.930)
As (0.500, 0.193, 0.558)
As (0.000, 0.315, 0.079)
As (0.000, 0.797, 0.428)

Computed properties:
The calculation puts the volume at 129 Å³ per cell. The formation energy is -0.194 eV per atom. The space group is No. 6. The total energy comes out at -61.2 eV/cell.


(10)
Cs3TlCl6: optimized geometry, PBE.

a b c (Å): 8.316 8.316 8.316
angles (deg): 60.00 60.00 60.00
Fractional coordinates of all 10 atoms:
Cs (0.750, 0.750, 0.750)
Cs (0.250, 0.250, 0.250)
Cs (0.500, 0.500, 0.500)
Tl (0.000, 0.000, 0.000)
Cl (0.777, 0.223, 0.223)
Cl (0.223, 0.223, 0.777)
Cl (0.223, 0.777, 0.777)
Cl (0.223, 0.777, 0.223)
Cl (0.777, 0.223, 0.777)
Cl (0.777, 0.777, 0.223)

Computed properties:
The calculation puts the volume at 407 Å³ per cell. The formation energy is -1.833 eV per atom. The space group is No. 225. The total energy comes out at -30.8 eV/cell.


(11)
Hf2Be17: optimized geometry, PBE.

a b c (Å): 7.473 7.473 7.272
angles (deg): 90.00 90.00 120.00
Fractional coordinates of all 38 atoms:
Hf (0.000, 0.000, 0.250)
Hf (0.000, 0.000, 0.750)
Hf (0.333, 0.667, 0.750)
Hf (0.667, 0.333, 0.250)
Be (0.333, 0.667, 0.394)
Be (0.667, 0.333, 0.606)
Be (0.667, 0.333, 0.894)
Be (0.333, 0.667, 0.106)
Be (0.500, 0.500, 0.500)
Be (0.500, 0.000, 0.500)
Be (0.000, 0.500, 0.500)
Be (0.500, 0.500, 0.000)
Be (0.500, 0.000, 0.000)
Be (0.000, 0.500, 0.000)
Be (0.332, 0.378, 0.250)
Be (0.622, 0.954, 0.250)
Be (0.046, 0.668, 0.250)
Be (0.622, 0.668, 0.250)
Be (0.046, 0.378, 0.250)
Be (0.332, 0.954, 0.250)
Be (0.668, 0.622, 0.750)
Be (0.378, 0.046, 0.750)
Be (0.954, 0.332, 0.750)
Be (0.378, 0.332, 0.750)
Be (0.954, 0.622, 0.750)
Be (0.668, 0.046, 0.750)
Be (0.165, 0.835, 0.513)
Be (0.165, 0.330, 0.513)
Be (0.670, 0.835, 0.513)
Be (0.835, 0.165, 0.487)
Be (0.835, 0.670, 0.487)
Be (0.330, 0.165, 0.487)
Be (0.835, 0.165, 0.013)
Be (0.835, 0.670, 0.013)
Be (0.330, 0.165, 0.013)
Be (0.165, 0.835, 0.987)
Be (0.165, 0.330, 0.987)
Be (0.670, 0.835, 0.987)

Computed properties:
The calculation puts the volume at 352 Å³ per cell. The formation energy is -0.227 eV per atom. The space group is No. 194. The total energy comes out at -175.6 eV/cell.


(12)
Ge: optimized geometry, PBE.

a b c (Å): 3.914 3.914 3.914
angles (deg): 136.93 100.77 94.74
Fractional coordinates of all 2 atoms:
Ge (0.250, 0.186, 0.936)
Ge (0.750, 0.814, 0.064)

Computed properties:
As for the polymorph energy (0 for the lowest one): 0.2360 eV per atom. The calculation puts the volume at 38 Å³ per cell. The formation energy is 0.236 eV per atom. The space group is No. 74. The total energy comes out at -8.8 eV/cell.


(13)
ReBiO4: optimized geometry, PBE.

a b c (Å): 7.912 7.912 5.600
angles (deg): 90.00 90.00 151.74
Fractional coordinates of all 12 atoms:
Re (0.082, 0.918, 0.750)
Re (0.918, 0.082, 0.250)
Bi (0.309, 0.691, 0.750)
Bi (0.691, 0.309, 0.250)
O (0.186, 0.814, 0.983)
O (0.814, 0.186, 0.017)
O (0.814, 0.186, 0.483)
O (0.186, 0.814, 0.517)
O (0.000, 0.000, 0.000)
O (0.000, 0.000, 0.500)
O (0.589, 0.411, 0.750)
O (0.411, 0.589, 0.250)

Computed properties:
The calculation puts the volume at 166 Å³ per cell. The formation energy is -1.906 eV per atom. The space group is No. 63. The total energy comes out at -89.6 eV/cell.


(14)
KTe3: optimized geometry, PBE.

a b c (Å): 6.782 6.782 6.448
angles (deg): 90.00 90.00 120.00
Fractional coordinates of all 8 atoms:
K (0.333, 0.667, 0.750)
K (0.667, 0.333, 0.250)
Te (0.824, 0.176, 0.750)
Te (0.352, 0.176, 0.750)
Te (0.824, 0.648, 0.750)
Te (0.176, 0.824, 0.250)
Te (0.648, 0.824, 0.250)
Te (0.176, 0.352, 0.250)

Computed properties:
The calculation puts the volume at 257 Å³ per cell. The formation energy is -0.496 eV per atom. The space group is No. 194. The total energy comes out at -22.5 eV/cell.